## LiMnPO4 (GGA+U)

Data for a relaxed structure of LiMnPO4.

POSCAR file:
```
LiMnPO4
1.0
10.923 0.000 0.000
0.000 8.466 0.000
0.000 0.000 5.212
Li Mn P O
4 4 4 16
Direct
0.247 0.198 0.000
0.253 0.698 0.500
0.747 0.302 0.000
0.753 0.802 0.500
0.119 0.350 0.519
0.381 0.850 0.019
0.619 0.150 0.519
0.881 0.650 0.019
0.182 0.555 0.025
0.318 0.055 0.525
0.682 0.945 0.025
0.818 0.445 0.525
0.062 0.642 0.096
0.181 0.385 0.143
0.199 0.539 0.729
0.210 0.149 0.644
0.290 0.649 0.144
0.301 0.039 0.229
0.319 0.885 0.643
0.438 0.142 0.596
0.562 0.858 0.096
0.681 0.115 0.143
0.699 0.961 0.729
0.710 0.351 0.644
0.790 0.851 0.144
0.801 0.461 0.229
0.819 0.615 0.643
0.938 0.358 0.596
```

Values from the calculation:
Energy relative to the lowest polymorph listed for this composition ... 48 meV per atom
Energy ... -7.137 eV/atom
Energy relative to the elements ... -2.59 eV/atom
Crystal system ... orthorhombic


## LiMnPO4 (GGA+U)

Data for a relaxed structure of LiMnPO4.

POSCAR file:
```
LiMnPO4
1.0
4.826 -2.459 0.000
4.826 2.459 0.000
-0.026 0.000 6.480
Li Mn P O
2 2 2 8
Direct
0.175 0.175 0.249
0.825 0.825 0.751
0.519 0.481 0.000
0.519 0.481 0.500
0.191 0.182 0.749
0.818 0.809 0.251
0.003 0.263 0.947
0.003 0.265 0.550
0.170 0.548 0.251
0.311 0.391 0.750
0.452 0.830 0.749
0.609 0.689 0.250
0.735 0.997 0.450
0.737 0.997 0.053
```

Values from the calculation:
Energy relative to the lowest polymorph listed for this composition ... 79 meV per atom
Energy ... -7.106 eV/atom
Energy relative to the elements ... -2.55 eV/atom
Crystal system ... monoclinic


## Li7Mn4P9O32 (GGA+U)

Data for a relaxed structure of Li7Mn4P9O32.

POSCAR file:
```
Li7Mn4P9O32
1.0
13.586 0.000 0.000
0.000 13.586 0.000
0.000 0.000 6.603
Li Mn P O
14 8 18 64
Direct
0.000 0.000 0.000
0.000 0.500 0.138
0.000 0.500 0.638
0.092 0.742 0.837
0.242 0.592 0.337
0.258 0.092 0.163
0.408 0.242 0.663
0.500 0.000 0.362
0.500 0.000 0.862
0.500 0.500 0.500
0.592 0.758 0.663
0.742 0.908 0.163
0.758 0.408 0.337
0.908 0.258 0.837
0.120 0.198 0.615
0.198 0.880 0.385
0.302 0.380 0.115
0.380 0.698 0.885
0.620 0.302 0.885
0.698 0.620 0.115
0.802 0.120 0.385
0.880 0.802 0.615
0.000 0.000 0.500
0.062 0.692 0.388
0.108 0.245 0.128
0.192 0.562 0.888
0.245 0.892 0.872
0.255 0.392 0.628
0.308 0.062 0.612
0.392 0.745 0.372
0.438 0.192 0.112
0.500 0.500 0.000
0.562 0.808 0.112
0.608 0.255 0.372
0.692 0.938 0.612
0.745 0.608 0.628
0.755 0.108 0.872
0.808 0.438 0.888
0.892 0.755 0.128
0.938 0.308 0.388
0.003 0.721 0.183
0.015 0.743 0.571
0.063 0.065 0.644
0.065 0.937 0.356
0.066 0.580 0.398
0.080 0.566 0.898
0.093 0.190 0.930
0.144 0.176 0.293
0.157 0.336 0.610
0.164 0.343 0.110
0.166 0.734 0.349
0.176 0.856 0.707
0.190 0.907 0.070
0.221 0.503 0.683
0.234 0.666 0.849
0.243 0.515 0.071
0.257 0.015 0.429
0.266 0.166 0.651
0.279 0.003 0.817
0.310 0.407 0.430
0.324 0.356 0.793
0.334 0.234 0.151
0.336 0.843 0.390
0.343 0.836 0.890
0.356 0.676 0.207
0.407 0.690 0.570
0.420 0.066 0.602
0.434 0.080 0.102
0.435 0.437 0.144
0.437 0.565 0.856
0.485 0.243 0.929
0.497 0.221 0.317
0.503 0.779 0.317
0.515 0.757 0.929
0.563 0.435 0.856
0.565 0.563 0.144
0.566 0.920 0.102
0.580 0.934 0.602
0.593 0.310 0.570
0.644 0.324 0.207
0.657 0.164 0.890
0.664 0.157 0.390
0.666 0.766 0.151
0.676 0.644 0.793
0.690 0.593 0.430
0.721 0.997 0.817
0.734 0.834 0.651
0.743 0.985 0.429
0.757 0.485 0.071
0.766 0.334 0.849
0.779 0.497 0.683
0.810 0.093 0.070
0.824 0.144 0.707
0.834 0.266 0.349
0.836 0.657 0.110
0.843 0.664 0.610
0.856 0.824 0.293
0.907 0.810 0.930
0.920 0.434 0.898
0.934 0.420 0.398
0.935 0.063 0.356
0.937 0.935 0.644
0.985 0.257 0.571
0.997 0.279 0.183
```

Values from the calculation:
Energy ... -6.943 eV/atom
Energy relative to the elements ... -2.55 eV/atom
Crystal system ... tetragonal


## Li7Mn4P6O24 (GGA+U)

Data for a relaxed structure of Li7Mn4P6O24.

POSCAR file:
```
Li7Mn4P6O24
1.0
8.413 0.000 0.000
4.128 7.387 0.000
4.052 2.215 7.702
Li Mn P O
7 4 6 24
Direct
0.000 0.000 0.000
0.061 0.406 0.717
0.255 0.338 0.000
0.408 0.799 0.724
0.599 0.741 0.001
0.664 0.140 0.724
0.871 0.621 0.232
0.178 0.921 0.305
0.482 0.215 0.424
0.678 0.416 0.820
0.993 0.730 0.884
0.083 0.112 0.609
0.286 0.613 0.121
0.379 0.518 0.612
0.576 0.029 0.119
0.784 0.818 0.613
0.868 0.325 0.114
0.076 0.204 0.118
0.129 0.928 0.761
0.139 0.069 0.439
0.148 0.579 0.076
0.186 0.820 0.138
0.193 0.509 0.766
0.200 0.221 0.587
0.328 0.467 0.284
0.343 0.674 0.451
0.454 0.927 0.137
0.471 0.618 0.961
0.482 0.315 0.586
0.509 0.549 0.671
0.511 0.077 0.288
0.543 0.212 0.962
0.581 0.935 0.595
0.727 0.257 0.279
0.778 0.863 0.769
0.790 0.897 0.081
0.827 0.536 0.079
0.827 0.604 0.662
0.865 0.294 0.951
0.866 0.230 0.663
0.937 0.872 0.447
```

Values from the calculation:
Energy ... -6.912 eV/atom
Energy relative to the elements ... -2.57 eV/atom
Crystal system ... triclinic


## LiMnPO4 (GGA+U)

Data for a relaxed structure of LiMnPO4.

POSCAR file:
```
LiMnPO4
1.0
13.879 0.000 0.000
0.000 5.144 0.000
-13.774 0.000 18.285
Li Mn P O
16 16 16 64
Direct
0.087 0.225 0.440
0.087 0.275 0.940
0.105 0.218 0.775
0.105 0.282 0.275
0.108 0.657 0.368
0.108 0.843 0.868
0.377 0.209 0.113
0.377 0.291 0.613
0.623 0.709 0.387
0.623 0.791 0.887
0.892 0.157 0.132
0.892 0.343 0.632
0.895 0.718 0.725
0.895 0.782 0.225
0.913 0.725 0.060
0.913 0.775 0.560
0.120 0.242 0.619
0.120 0.258 0.119
0.310 0.735 0.695
0.310 0.765 0.195
0.373 0.745 0.372
0.373 0.755 0.872
0.430 0.703 0.046
0.430 0.797 0.546
0.570 0.203 0.454
0.570 0.297 0.954
0.627 0.245 0.128
0.627 0.255 0.628
0.690 0.235 0.805
0.690 0.265 0.305
0.880 0.742 0.881
0.880 0.758 0.381
0.099 0.743 0.215
0.099 0.757 0.715
0.169 0.703 0.536
0.169 0.797 0.036
0.337 0.217 0.958
0.337 0.283 0.458
0.425 0.250 0.290
0.425 0.250 0.790
0.575 0.750 0.210
0.575 0.750 0.710
0.663 0.717 0.542
0.663 0.783 0.042
0.831 0.203 0.964
0.831 0.297 0.464
0.901 0.243 0.285
0.901 0.257 0.785
0.016 0.560 0.717
0.016 0.940 0.217
0.031 0.504 0.163
0.031 0.996 0.663
0.061 0.603 0.458
0.061 0.897 0.958
0.127 0.595 0.067
0.127 0.905 0.567
0.159 0.602 0.686
0.159 0.898 0.186
0.192 0.635 0.294
0.192 0.865 0.794
0.201 0.230 0.917
0.201 0.270 0.417
0.226 0.036 0.091
0.226 0.464 0.591
0.266 0.680 0.032
0.266 0.820 0.532
0.309 0.136 0.719
0.309 0.364 0.219
0.371 0.571 0.455
0.371 0.929 0.955
0.382 0.103 0.425
0.382 0.397 0.925
0.400 0.534 0.802
0.400 0.966 0.302
0.410 0.209 0.541
0.410 0.291 0.041
0.460 0.079 0.857
0.460 0.421 0.357
0.469 0.749 0.213
0.469 0.751 0.713
0.531 0.249 0.287
0.531 0.251 0.787
0.540 0.579 0.643
0.540 0.921 0.143
0.590 0.709 0.959
0.590 0.791 0.459
0.600 0.034 0.698
0.600 0.466 0.198
0.618 0.603 0.075
0.618 0.897 0.575
0.629 0.071 0.045
0.629 0.429 0.545
0.691 0.636 0.781
0.691 0.864 0.281
0.734 0.180 0.468
0.734 0.320 0.968
0.774 0.536 0.409
0.774 0.964 0.909
0.799 0.730 0.583
0.799 0.770 0.083
0.808 0.135 0.206
0.808 0.365 0.706
0.841 0.102 0.814
0.841 0.398 0.314
0.873 0.095 0.433
0.873 0.405 0.933
0.939 0.103 0.042
0.939 0.397 0.542
0.969 0.004 0.337
0.969 0.496 0.837
0.984 0.060 0.783
0.984 0.440 0.283
```

Values from the calculation:
Energy relative to the lowest polymorph listed for this composition ... 83 meV per atom
Energy ... -7.102 eV/atom
Energy relative to the elements ... -2.55 eV/atom
Crystal system ... monoclinic


## LiMn2P2O8 (GGA+U)

Data for a relaxed structure of LiMn2P2O8.

POSCAR file:
```
LiMn2P2O8
1.0
8.593 0.000 0.000
-2.297 8.773 0.000
-2.088 -3.932 11.778
Li Mn P O
6 12 12 48
Direct
0.000 0.000 0.000
0.004 0.477 0.471
0.023 0.729 0.742
0.506 0.122 0.626
0.510 0.857 0.362
0.520 0.596 0.101
0.076 0.873 0.494
0.079 0.375 0.993
0.286 0.849 0.126
0.289 0.347 0.631
0.391 0.460 0.401
0.395 0.962 0.903
0.626 0.254 0.322
0.628 0.756 0.824
0.735 0.870 0.602
0.744 0.367 0.099
0.945 0.346 0.733
0.946 0.850 0.234
0.138 0.086 0.754
0.140 0.598 0.259
0.304 0.089 0.384
0.308 0.593 0.885
0.352 0.730 0.614
0.354 0.236 0.114
0.667 0.979 0.111
0.671 0.484 0.609
0.716 0.124 0.842
0.719 0.628 0.342
0.882 0.126 0.470
0.887 0.631 0.974
0.013 0.475 0.149
0.016 0.248 0.579
0.028 0.759 0.076
0.053 0.719 0.316
0.064 0.210 0.820
0.172 0.739 0.585
0.176 0.244 0.076
0.183 0.992 0.266
0.184 0.982 0.830
0.186 0.494 0.766
0.187 0.512 0.345
0.273 0.758 0.925
0.283 0.166 0.710
0.283 0.257 0.432
0.289 0.008 0.478
0.290 0.519 0.982
0.295 0.694 0.229
0.338 0.550 0.565
0.339 0.054 0.063
0.411 0.281 0.247
0.417 0.783 0.747
0.475 0.841 0.569
0.481 0.090 0.366
0.484 0.350 0.077
0.485 0.601 0.870
0.539 0.117 0.857
0.542 0.626 0.359
0.542 0.870 0.156
0.549 0.369 0.651
0.600 0.932 0.978
0.609 0.437 0.477
0.681 0.664 0.662
0.683 0.160 0.162
0.730 0.028 0.500
0.734 0.197 0.744
0.736 0.711 0.249
0.742 0.549 0.017
0.745 0.461 0.297
0.748 0.958 0.801
0.833 0.234 0.399
0.840 0.223 0.961
0.840 0.728 0.893
0.840 0.955 0.132
0.841 0.723 0.461
0.853 0.480 0.641
0.963 0.504 0.910
0.964 0.009 0.405
0.997 0.959 0.651
```

Values from the calculation:
Energy relative to the lowest polymorph listed for this composition ... 25 meV per atom
Energy ... -7.268 eV/atom
Energy relative to the elements ... -2.51 eV/atom
Crystal system ... triclinic


## LiMnP2O8 (GGA+U)

Data for a relaxed structure of LiMnP2O8.

POSCAR file:
```
LiMnP2O8
1.0
4.863 0.000 0.000
0.000 8.374 0.000
-4.436 0.000 6.556
Li Mn P O
2 2 4 16
Direct
0.000 0.000 0.000
0.000 0.500 0.500
0.500 0.000 0.500
0.500 0.500 0.000
0.215 0.173 0.741
0.215 0.327 0.241
0.785 0.673 0.759
0.785 0.827 0.259
0.134 0.630 0.949
0.134 0.870 0.449
0.206 0.142 0.268
0.206 0.358 0.768
0.300 0.096 0.941
0.300 0.404 0.441
0.479 0.130 0.696
0.479 0.370 0.196
0.521 0.630 0.804
0.521 0.870 0.304
0.700 0.596 0.559
0.700 0.904 0.059
0.794 0.642 0.232
0.794 0.858 0.732
0.866 0.130 0.551
0.866 0.370 0.051
```

Values from the calculation:
Energy ... -6.646 eV/atom
Energy relative to the elements ... -2.12 eV/atom
Crystal system ... monoclinic